The following is a DFT calculation (GGA-PBE) of a geometry-optimized Ag2Hg3P4Br3 structure.

Values from the calculation:
* calculated total energy: -2.97 eV per atom
* E_form: -0.346 eV per atom
* spin magnetization: 0.0 μB per formula unit

abc: 8.9349 8.3296 8.3296
angles: 82.29 79.78 79.78
With the nearest neighbours (Å) after each atom.
Positions (direct):
Br (0.8573, 0.4600, 0.8633)  2 Ag 2.78-3.04
Br (0.8579, 0.8689, 0.4554)  1 Ag 2.73
Br (0.4611, 0.8580, 0.8517)  3 Ag 2.81-3.09
Br (0.1421, 0.5446, 0.1311)  1 Ag 2.73
Br (0.5389, 0.1483, 0.1420)  3 Ag 2.81-3.09
Br (0.1427, 0.1367, 0.5400)  2 Ag 2.78-3.04
P (0.4213, 0.4193, 0.7460)  2 P 2.21-2.23
P (0.5787, 0.2540, 0.5807)  2 P 2.21-2.23
P (0.7181, 0.4381, 0.4375)  2 P 2.23, 1 Hg 2.48
P (0.5780, 0.5807, 0.2536)  2 P 2.21-2.23
P (0.9365, 0.9360, 0.9354)  1 P 2.18
P (0.4220, 0.7464, 0.4193)  2 P 2.21-2.23
P (0.0635, 0.0646, 0.0640)  1 P 2.18
P (0.2819, 0.5625, 0.5619)  2 P 2.23, 1 Hg 2.48
Ag (0.4875, 0.0117, 0.4915)  2 P 2.55
Ag (0.5125, 0.5085, 0.9883)  2 P 2.55
Ag (0.6812, 0.6586, 0.6478)  1 P 2.65, 3 Br 2.73-2.81
Ag (0.3188, 0.3522, 0.3414)  1 P 2.65, 3 Br 2.73-2.81
Hg (0.7685, 0.1299, 0.7647)  2 P 2.48
Hg (0.8818, 0.2474, 0.2483)  2 P 2.48-2.49
Hg (0.1182, 0.7517, 0.7526)  2 P 2.48-2.49
Hg (0.2315, 0.2353, 0.8701)  2 P 2.48
Hg (0.7700, 0.7656, 0.1340)  2 P 2.49-2.50
Hg (0.2300, 0.8660, 0.2344)  2 P 2.49-2.50